1.
Density functional theory data (PBE-GGA) for Ba3Ge2N2 after structural relaxation.

Values from the calculation:
Theoretical density   5.19 Mg/m³
DFT formation energy   -686 meV/atom

Cell lengths 9.726, 4.107, 10.236 Å; angles 90.00, 113.66, 90.00 degrees
Space group P2_1/m (No. 11)
Asymmetric unit:
Ba  0.027  0.250  0.173 [2 per cell]
Ba  0.187  0.750  0.559 [2 per cell]
Ba  0.386  0.750  0.144 [2 per cell]
Ge  0.247  0.250  0.847 [2 per cell]
Ge  0.421  0.250  0.445 [2 per cell]
N  0.071  0.250  0.676 [2 per cell]
N  0.182  0.250  0.999 [2 per cell]



2.
Density functional theory data (PBE-GGA) for Ba6Ge5N2 after structural relaxation.

Values from the calculation:
Theoretical density   5.13 Mg/m³
DFT formation energy   -645 meV/atom

Cell lengths 4.238, 19.070, 9.735 Å; angles 90.00, 90.00, 90.00 degrees
Space group Pmmn (No. 59, origin choice 2)
Asymmetric unit:
Ba  0.250  0.067  0.112 [4 per cell]
Ba  0.250  0.250  0.755 [2 per cell]
Ba  0.250  0.610  0.536 [4 per cell]
Ba  0.250  0.750  0.846 [2 per cell]
Ge  0.250  0.057  0.739 [4 per cell]
Ge  0.250  0.250  0.410 [2 per cell]
Ge  0.250  0.618  0.154 [4 per cell]
N  0.250  0.170  0.293 [4 per cell]



3.
Density functional theory data (PBE-GGA) for Ba5Ge2N6 after structural relaxation.

Values from the calculation:
Theoretical density   5.56 Mg/m³
Total magnetic moment   0.00 μB per atom
DFT formation energy   -667 meV/atom

Cell lengths 10.782, 7.157, 14.378 Å; angles 90.00, 99.42, 90.00 degrees
Space group C2/c (No. 15)
Asymmetric unit:
Ba  0.000  0.111  0.250 [4 per cell]
Ba  0.052  0.230  0.992 [8 per cell]
Ba  0.156  0.429  0.711 [8 per cell]
Ge  0.225  0.367  0.425 [8 per cell]
N  0.063  0.455  0.377 [8 per cell]
N  0.150  0.065  0.648 [8 per cell]
N  0.210  0.090  0.442 [8 per cell]



4.
Density functional theory data (PBE-GGA) for BaNaNdGe3O9 after structural relaxation.

Values from the calculation:
Theoretical density   4.80 Mg/m³
Total magnetic moment   0.00 μB per atom
DFT formation energy   -2656 meV/atom

Cell lengths 5.944, 11.872, 13.064 Å; angles 90.00, 90.00, 90.00 degrees
Space group P2_12_12_1 (No. 19)
Asymmetric unit:
Ba  0.107  0.114  0.082 [4 per cell]
Na  0.062  0.779  0.114 [4 per cell]
Nd  0.117  0.464  0.142 [4 per cell]
Ge  0.098  0.860  0.861 [4 per cell]
Ge  0.101  0.590  0.884 [4 per cell]
Ge  0.108  0.204  0.812 [4 per cell]
O  0.001  0.493  0.971 [4 per cell]
O  0.040  0.461  0.566 [4 per cell]
O  0.114  0.334  0.738 [4 per cell]
O  0.117  0.731  0.938 [4 per cell]
O  0.124  0.100  0.710 [4 per cell]
O  0.132  0.117  0.312 [4 per cell]
O  0.139  0.697  0.617 [4 per cell]
O  0.142  0.437  0.323 [4 per cell]
O  0.145  0.811  0.382 [4 per cell]



5.
Density functional theory data (PBE-GGA) for BaNa2Ge8O18 after structural relaxation.

Values from the calculation:
Theoretical density   4.51 Mg/m³
Total magnetic moment   0.00 μB per atom
DFT formation energy   -2236 meV/atom

Cell lengths 11.7130, 11.7130, 19.5581 Å; angles 90.00, 90.00, 120.00 degrees
Space group P-3c1 (No. 165)
Asymmetric unit:
Ba  0.0000  0.3342  0.2500 [6 per cell]
Na  0.0070  0.3367  0.0366 [12 per cell]
Ge  0.0000  0.0000  0.0000 [2 per cell]
Ge  0.0000  0.0000  0.2500 [2 per cell]
Ge  0.0039  0.1775  0.6257 [12 per cell]
Ge  0.1459  0.4848  0.6480 [12 per cell]
Ge  0.1538  0.4888  0.8934 [12 per cell]
Ge  0.3333  0.6667  0.0227 [4 per cell]
Ge  0.3333  0.6667  0.2728 [4 per cell]
O  0.0079  0.4871  0.8663 [12 per cell]
O  0.0626  0.1540  0.0582 [12 per cell]
O  0.0635  0.1521  0.3089 [12 per cell]
O  0.1063  0.3238  0.9209 [12 per cell]
O  0.1180  0.3248  0.6728 [12 per cell]
O  0.1774  0.5794  0.9686 [12 per cell]
O  0.1820  0.5887  0.2174 [12 per cell]
O  0.2432  0.5142  0.3298 [12 per cell]
O  0.2458  0.5105  0.5766 [12 per cell]



6.
Density functional theory data (PBE-GGA) for Ba2Ni5Ge4 after structural relaxation.

Values from the calculation:
Theoretical density   6.66 Mg/m³
DFT formation energy   -450 meV/atom

Cell lengths 12.526, 4.041, 9.674 Å; angles 90.00, 119.00, 90.00 degrees
Space group C2/m (No. 12)
Asymmetric unit:
Ba  0.178  0.000  0.145 [4 per cell]
Ni  0.000  0.500  0.500 [2 per cell]
Ni  0.035  0.000  0.697 [4 per cell]
Ni  0.164  0.500  0.424 [4 per cell]
Ge  0.032  0.500  0.809 [4 per cell]
Ge  0.142  0.000  0.552 [4 per cell]



7.
Density functional theory data (PBE-GGA) for BaGe4O9 after structural relaxation.

Values from the calculation:
Theoretical density   4.90 Mg/m³
Piezoelectric modulus e_max   0.19 C/m2
DFT formation energy   -2354 meV/atom

Cell lengths 11.7933, 11.7933, 4.8258 Å; angles 90.00, 90.00, 120.00 degrees
Space group P321 (No. 150)
Asymmetric unit:
Ba  0.0000  0.6683  0.0000 [3 per cell]
Ge  0.0000  0.0000  0.0000 [1 per cell]
Ge  0.0000  0.1792  0.5000 [3 per cell]
Ge  0.1501  0.4875  0.4114 [6 per cell]
Ge  0.3333  0.6667  0.9028 [2 per cell]
O  0.0000  0.4826  0.5000 [3 per cell]
O  0.0640  0.9115  0.7649 [6 per cell]
O  0.1129  0.3252  0.3107 [6 per cell]
O  0.1815  0.5939  0.1287 [6 per cell]
O  0.2502  0.7370  0.6784 [6 per cell]



8.
Density functional theory data (PBE-GGA) for BaGe4O9 after structural relaxation.

Values from the calculation:
Theoretical density   4.89 Mg/m³
Total magnetic moment   0.00 μB per atom
DFT formation energy   -2353 meV/atom

Cell lengths 11.8242, 11.8242, 4.8102 Å; angles 90.00, 90.00, 120.00 degrees
Space group P3 (No. 143)
Asymmetric unit:
Ba  0.9997  0.6688  0.0000 [3 per cell]
Ge  0.0000  0.0000  0.9949 [1 per cell]
Ge  0.1493  0.4875  0.4040 [3 per cell]
Ge  0.1808  0.0011  0.4977 [3 per cell]
Ge  0.3333  0.6667  0.8932 [1 per cell]
Ge  0.4874  0.1495  0.5927 [3 per cell]
Ge  0.6667  0.3333  0.1038 [1 per cell]
O  0.0630  0.9111  0.7573 [3 per cell]
O  0.1119  0.3252  0.3078 [3 per cell]
O  0.1540  0.0861  0.2252 [3 per cell]
O  0.1809  0.5926  0.1183 [3 per cell]
O  0.2501  0.7362  0.6680 [3 per cell]
O  0.3253  0.1128  0.6921 [3 per cell]
O  0.4825  0.0006  0.4962 [3 per cell]
O  0.5139  0.2643  0.3294 [3 per cell]
O  0.5889  0.4083  0.8797 [3 per cell]